1.
VASP calculation (PBE-GGA) on a relaxed structure of HoFeC2.

Cell: 3.605 3.726 3.726 Å, 75.04 90.00 90.00°
Positions (direct):
Ho (0.000, 0.000, 0.000)
Fe (0.500, 0.608, 0.608)
C (0.500, 0.139, 0.448)
C (0.500, 0.448, 0.139)



2.
VASP calculation (PBE-GGA) on a relaxed structure of Sr2TbCu2Bi2O8.

Values from the calculation:
- magnetization (μB/atom) = 0.00

Cell: 15.539 15.539 15.539 Å, 165.96 165.96 19.91°
Positions (direct):
Sr (0.114, 0.114, 0.000)
Sr (0.886, 0.886, 0.000)
Tb (0.000, 0.000, 0.000)
Cu (0.447, 0.447, 0.000)
Cu (0.553, 0.553, 0.000)
Bi (0.296, 0.296, 0.000)
Bi (0.704, 0.704, 0.000)
O (0.049, 0.549, 0.500)
O (0.202, 0.202, 0.000)
O (0.366, 0.366, 0.000)
O (0.451, 0.951, 0.500)
O (0.549, 0.049, 0.500)
O (0.634, 0.634, 0.000)
O (0.798, 0.798, 0.000)
O (0.951, 0.451, 0.500)



3.
VASP calculation (PBE-GGA) on a relaxed structure of BaBeF4.

Cell: 8.977 5.405 7.143 Å, 90.00 90.00 90.00°
Positions (direct):
Ba (0.187, 0.250, 0.155)
Ba (0.313, 0.750, 0.655)
Ba (0.687, 0.250, 0.345)
Ba (0.813, 0.750, 0.845)
Be (0.054, 0.250, 0.691)
Be (0.446, 0.750, 0.191)
Be (0.554, 0.250, 0.809)
Be (0.946, 0.750, 0.309)
F (0.079, 0.015, 0.818)
F (0.079, 0.485, 0.818)
F (0.110, 0.750, 0.377)
F (0.175, 0.250, 0.535)
F (0.325, 0.750, 0.035)
F (0.390, 0.250, 0.877)
F (0.421, 0.515, 0.318)
F (0.421, 0.985, 0.318)
F (0.579, 0.015, 0.682)
F (0.579, 0.485, 0.682)
F (0.610, 0.750, 0.123)
F (0.675, 0.250, 0.965)
F (0.825, 0.750, 0.465)
F (0.890, 0.250, 0.623)
F (0.921, 0.515, 0.182)
F (0.921, 0.985, 0.182)



4.
VASP calculation (PBE-GGA) on a relaxed structure of NaHoIrO4.

Values from the calculation:
- magnetization (μB/atom) = 0.12

Cell: 3.246 9.363 9.363 Å, 118.33 90.00 90.00°
Positions (direct):
Na (0.000, 0.000, 0.000)
Na (0.500, 0.284, 0.984)
Na (0.500, 0.984, 0.284)
Ho (0.500, 0.300, 0.642)
Ho (0.500, 0.642, 0.300)
Ho (0.500, 0.686, 0.686)
Ir (0.000, 0.315, 0.315)
Ir (0.000, 0.656, 0.982)
Ir (0.000, 0.982, 0.656)
O (0.000, 0.200, 0.450)
O (0.000, 0.227, 0.766)
O (0.000, 0.450, 0.200)
O (0.000, 0.534, 0.727)
O (0.000, 0.727, 0.534)
O (0.000, 0.766, 0.227)
O (0.500, 0.184, 0.184)
O (0.500, 0.447, 0.447)
O (0.500, 0.529, 0.984)
O (0.500, 0.789, 0.969)
O (0.500, 0.969, 0.789)
O (0.500, 0.984, 0.529)



The E_tot results, record by record, are as follows: -0.29945 -0.22162 -0.21462 -0.25276 hartree per atom.